1.
# U2In3Sn3, relaxed, DFT GGA-PBE
# Space group: Pmmm, No. 47
data_U2In3Sn3
_chemical_formula_sum 'U2 In3 Sn3'
_space_group_name_H-M_alt 'P 1'
_space_group_IT_number 1
_space_group_name_Hall 'P 1'
_cell_length_a 4.640
_cell_length_b 4.734
_cell_length_c 9.115
_cell_angle_alpha 90.00
_cell_angle_beta 90.00
_cell_angle_gamma 90.00
loop_
_atom_site_label
_atom_site_fract_x
_atom_site_fract_y
_atom_site_fract_z
_atom_site_occupancy
U1 0.000 0.000 0.245 1
U2 0.000 0.000 0.755 1
In1 0.500 0.500 0.252 1
In2 0.500 0.500 0.748 1
In3 0.000 0.500 0.500 1
Sn1 0.000 0.500 0.000 1
Sn2 0.500 0.000 0.500 1
Sn3 0.500 0.000 0.000 1



2.
# Tl6Si2O7, relaxed, DFT GGA-PBE
# Space group: P-3, No. 147
# Energy relative to the lowest polymorph listed for this composition: 0.000 eV/atom
data_Tl6Si2O7
_chemical_formula_sum 'Tl12 Si4 O14'
_space_group_name_H-M_alt 'P 1'
_space_group_IT_number 1
_space_group_name_Hall 'P 1'
_cell_length_a 9.933
_cell_length_b 9.933
_cell_length_c 8.111
_cell_angle_alpha 90.00
_cell_angle_beta 90.00
_cell_angle_gamma 120.00
loop_
_atom_site_label
_atom_site_fract_x
_atom_site_fract_y
_atom_site_fract_z
_atom_site_occupancy
Tl1 0.037 0.355 0.370 1
Tl2 0.318 0.963 0.370 1
Tl3 0.645 0.682 0.370 1
Tl4 0.963 0.645 0.630 1
Tl5 0.682 0.037 0.630 1
Tl6 0.355 0.318 0.630 1
Tl7 0.052 0.364 0.878 1
Tl8 0.312 0.948 0.878 1
Tl9 0.636 0.688 0.878 1
Tl10 0.948 0.636 0.122 1
Tl11 0.688 0.052 0.122 1
Tl12 0.364 0.312 0.122 1
Si1 0.333 0.667 0.170 1
Si2 0.667 0.333 0.417 1
Si3 0.333 0.667 0.583 1
Si4 0.667 0.333 0.830 1
O1 0.849 0.448 0.884 1
O2 0.552 0.401 0.884 1
O3 0.599 0.151 0.884 1
O4 0.401 0.849 0.116 1
O5 0.667 0.333 0.623 1
O6 0.333 0.667 0.377 1
O7 0.598 0.151 0.361 1
O8 0.553 0.402 0.361 1
O9 0.849 0.447 0.361 1
O10 0.402 0.849 0.639 1
O11 0.447 0.598 0.639 1
O12 0.151 0.553 0.639 1
O13 0.151 0.552 0.116 1
O14 0.448 0.599 0.116 1



3.
# K2SbAuF6, relaxed, DFT GGA-PBE
# Space group: Fm-3m, No. 225
data_K2SbAuF6
_chemical_formula_sum 'K2 Sb1 Au1 F6'
_space_group_name_H-M_alt 'P 1'
_space_group_IT_number 1
_space_group_name_Hall 'P 1'
_cell_length_a 6.586
_cell_length_b 6.586
_cell_length_c 6.586
_cell_angle_alpha 60.00
_cell_angle_beta 60.00
_cell_angle_gamma 60.00
loop_
_atom_site_label
_atom_site_fract_x
_atom_site_fract_y
_atom_site_fract_z
_atom_site_occupancy
K1 0.750 0.750 0.750 1
K2 0.250 0.250 0.250 1
Sb1 0.000 0.000 0.000 1
Au1 0.500 0.500 0.500 1
F1 0.766 0.234 0.234 1
F2 0.234 0.234 0.766 1
F3 0.234 0.766 0.766 1
F4 0.234 0.766 0.234 1
F5 0.766 0.234 0.766 1
F6 0.766 0.766 0.234 1



4.
# Mg2WN2, relaxed, DFT GGA-PBE
# Space group: C2/m, No. 12
data_Mg2WN2
_chemical_formula_sum 'Mg4 W2 N4'
_space_group_name_H-M_alt 'P 1'
_space_group_IT_number 1
_space_group_name_Hall 'P 1'
_cell_length_a 5.300
_cell_length_b 5.300
_cell_length_c 6.060
_cell_angle_alpha 71.99
_cell_angle_beta 71.99
_cell_angle_gamma 49.86
loop_
_atom_site_label
_atom_site_fract_x
_atom_site_fract_y
_atom_site_fract_z
_atom_site_occupancy
Mg1 0.333 0.333 0.594 1
Mg2 0.667 0.667 0.406 1
Mg3 0.997 0.997 0.740 1
Mg4 0.003 0.003 0.260 1
W1 0.661 0.661 0.904 1
W2 0.339 0.339 0.096 1
N1 0.825 0.825 0.603 1
N2 0.175 0.175 0.397 1
N3 0.497 0.497 0.242 1
N4 0.503 0.503 0.758 1



5.
# Zn3Rh, relaxed, DFT GGA-PBE
# Space group: I4/mmm, No. 139
data_Zn3Rh
_chemical_formula_sum 'Zn3 Rh1'
_space_group_name_H-M_alt 'P 1'
_space_group_IT_number 1
_space_group_name_Hall 'P 1'
_cell_length_a 4.852
_cell_length_b 4.852
_cell_length_c 4.852
_cell_angle_alpha 134.93
_cell_angle_beta 134.93
_cell_angle_gamma 65.64
loop_
_atom_site_label
_atom_site_fract_x
_atom_site_fract_y
_atom_site_fract_z
_atom_site_occupancy
Zn1 0.750 0.250 0.500 1
Zn2 0.250 0.750 0.500 1
Zn3 0.500 0.500 0.000 1
Rh1 0.000 0.000 0.000 1



6.
# Mn10FeN8, relaxed, DFT GGA-PBE
# Space group: C2/m, No. 12
data_Mn10FeN8
_chemical_formula_sum 'Mn10 Fe1 N8'
_space_group_name_H-M_alt 'P 1'
_space_group_IT_number 1
_space_group_name_Hall 'P 1'
_cell_length_a 8.302
_cell_length_b 3.946
_cell_length_c 7.161
_cell_angle_alpha 90.00
_cell_angle_beta 64.21
_cell_angle_gamma 76.25
loop_
_atom_site_label
_atom_site_fract_x
_atom_site_fract_y
_atom_site_fract_z
_atom_site_occupancy
Mn1 0.390 0.805 0.805 1
Mn2 0.610 0.195 0.195 1
Mn3 0.995 0.003 0.769 1
Mn4 0.005 0.997 0.231 1
Mn5 0.735 0.632 0.362 1
Mn6 0.265 0.368 0.638 1
Mn7 0.725 0.638 0.900 1
Mn8 0.275 0.362 0.100 1
Mn9 0.332 0.834 0.339 1
Mn10 0.668 0.166 0.661 1
Fe1 0.000 0.500 0.500 1
N1 0.281 0.860 0.092 1
N2 0.719 0.140 0.908 1
N3 0.269 0.865 0.639 1
N4 0.731 0.135 0.361 1
N5 0.646 0.677 0.671 1
N6 0.354 0.323 0.329 1
N7 0.005 0.497 0.231 1
N8 0.995 0.503 0.769 1



7.
# Ga2Te3, relaxed, DFT GGA-PBE
# Space group: R-3m, No. 166
data_Ga2Te3
_chemical_formula_sum 'Ga2 Te3'
_space_group_name_H-M_alt 'P 1'
_space_group_IT_number 1
_space_group_name_Hall 'P 1'
_cell_length_a 8.645
_cell_length_b 8.645
_cell_length_c 8.645
_cell_angle_alpha 29.33
_cell_angle_beta 29.33
_cell_angle_gamma 29.33
loop_
_atom_site_label
_atom_site_fract_x
_atom_site_fract_y
_atom_site_fract_z
_atom_site_occupancy
Ga1 0.809 0.809 0.809 1
Ga2 0.191 0.191 0.191 1
Te1 0.000 0.000 0.000 1
Te2 0.587 0.587 0.587 1
Te3 0.413 0.413 0.413 1



8.
# LiCuPO4, relaxed, DFT GGA-PBE
# Space group: P2_1/c, No. 14
# Energy relative to the lowest polymorph listed for this composition: 0.066 eV/atom
data_LiCuPO4
_chemical_formula_sum 'Li12 Cu12 P12 O48'
_space_group_name_H-M_alt 'P 1'
_space_group_IT_number 1
_space_group_name_Hall 'P 1'
_cell_length_a 7.436
_cell_length_b 8.261
_cell_length_c 17.060
_cell_angle_alpha 63.15
_cell_angle_beta 90.00
_cell_angle_gamma 90.00
loop_
_atom_site_label
_atom_site_fract_x
_atom_site_fract_y
_atom_site_fract_z
_atom_site_occupancy
Li1 0.761 0.861 0.590 1
Li2 0.724 0.180 0.228 1
Li3 0.768 0.460 0.920 1
Li4 0.268 0.540 0.580 1
Li5 0.224 0.820 0.272 1
Li6 0.261 0.139 0.910 1
Li7 0.739 0.861 0.090 1
Li8 0.776 0.180 0.728 1
Li9 0.732 0.460 0.420 1
Li10 0.232 0.540 0.080 1
Li11 0.276 0.820 0.772 1
Li12 0.239 0.139 0.410 1
Cu1 0.484 0.217 0.061 1
Cu2 0.527 0.839 0.412 1
Cu3 0.393 0.509 0.757 1
Cu4 0.893 0.491 0.743 1
Cu5 0.027 0.161 0.088 1
Cu6 0.984 0.783 0.439 1
Cu7 0.016 0.217 0.561 1
Cu8 0.973 0.839 0.912 1
Cu9 0.107 0.509 0.257 1
Cu10 0.607 0.491 0.243 1
Cu11 0.473 0.161 0.588 1
Cu12 0.516 0.783 0.939 1
P1 0.179 0.869 0.592 1
P2 0.314 0.186 0.230 1
P3 0.181 0.474 0.929 1
P4 0.681 0.526 0.571 1
P5 0.814 0.814 0.270 1
P6 0.679 0.131 0.908 1
P7 0.321 0.869 0.092 1
P8 0.186 0.186 0.730 1
P9 0.319 0.474 0.429 1
P10 0.819 0.526 0.071 1
P11 0.686 0.814 0.770 1
P12 0.821 0.131 0.408 1
O1 0.998 0.052 0.389 1
O2 0.864 0.321 0.121 1
O3 0.691 0.971 0.463 1
O4 0.782 0.629 0.793 1
O5 0.314 0.433 0.006 1
O6 0.488 0.243 0.171 1
O7 0.365 0.082 0.327 1
O8 0.265 0.737 0.680 1
O9 0.007 0.360 0.965 1
O10 0.131 0.761 0.540 1
O11 0.264 0.405 0.865 1
O12 0.193 0.075 0.199 1
O13 0.764 0.595 0.635 1
O14 0.693 0.925 0.301 1
O15 0.631 0.239 0.960 1
O16 0.507 0.640 0.535 1
O17 0.765 0.263 0.820 1
O18 0.865 0.918 0.173 1
O19 0.988 0.757 0.329 1
O20 0.282 0.371 0.707 1
O21 0.814 0.567 0.494 1
O22 0.191 0.029 0.037 1
O23 0.364 0.679 0.379 1
O24 0.498 0.948 0.111 1
O25 0.502 0.052 0.889 1
O26 0.636 0.321 0.621 1
O27 0.809 0.971 0.963 1
O28 0.186 0.433 0.506 1
O29 0.718 0.629 0.293 1
O30 0.012 0.243 0.671 1
O31 0.135 0.082 0.827 1
O32 0.235 0.737 0.180 1
O33 0.493 0.360 0.465 1
O34 0.369 0.761 0.040 1
O35 0.307 0.075 0.699 1
O36 0.236 0.405 0.365 1
O37 0.807 0.925 0.801 1
O38 0.736 0.595 0.135 1
O39 0.869 0.239 0.460 1
O40 0.993 0.640 0.035 1
O41 0.735 0.263 0.320 1
O42 0.635 0.918 0.673 1
O43 0.512 0.757 0.829 1
O44 0.686 0.567 0.994 1
O45 0.218 0.371 0.207 1
O46 0.309 0.029 0.537 1
O47 0.136 0.679 0.879 1
O48 0.002 0.948 0.611 1



9.
# Al5O8, relaxed, DFT GGA-PBE
# Space group: P6_3mc, No. 186
# Energy relative to the lowest polymorph listed for this composition: 0.000 eV/atom
data_Al5O8
_chemical_formula_sum 'Al10 O16'
_space_group_name_H-M_alt 'P 1'
_space_group_IT_number 1
_space_group_name_Hall 'P 1'
_cell_length_a 5.605
_cell_length_b 5.605
_cell_length_c 8.972
_cell_angle_alpha 90.00
_cell_angle_beta 90.00
_cell_angle_gamma 120.00
loop_
_atom_site_label
_atom_site_fract_x
_atom_site_fract_y
_atom_site_fract_z
_atom_site_occupancy
Al1 0.838 0.162 0.869 1
Al2 0.838 0.677 0.869 1
Al3 0.323 0.162 0.869 1
Al4 0.162 0.838 0.369 1
Al5 0.162 0.323 0.369 1
Al6 0.677 0.838 0.369 1
Al7 0.333 0.667 0.648 1
Al8 0.667 0.333 0.148 1
Al9 0.667 0.333 0.557 1
Al10 0.333 0.667 0.057 1
O1 0.000 0.000 0.471 1
O2 0.000 0.000 0.971 1
O3 0.487 0.513 0.500 1
O4 0.487 0.975 0.500 1
O5 0.025 0.513 0.500 1
O6 0.513 0.487 0.000 1
O7 0.513 0.025 0.000 1
O8 0.975 0.487 0.000 1
O9 0.660 0.830 0.758 1
O10 0.170 0.830 0.758 1
O11 0.170 0.340 0.758 1
O12 0.340 0.170 0.258 1
O13 0.830 0.170 0.258 1
O14 0.830 0.660 0.258 1
O15 0.667 0.333 0.760 1
O16 0.333 0.667 0.260 1



10.
# Zn2CuAs2O8, relaxed, DFT GGA-PBE
# Space group: P-1, No. 2
data_Zn2CuAs2O8
_chemical_formula_sum 'Zn2 Cu1 As2 O8'
_space_group_name_H-M_alt 'P 1'
_space_group_IT_number 1
_space_group_name_Hall 'P 1'
_cell_length_a 5.158
_cell_length_b 5.418
_cell_length_c 6.857
_cell_angle_alpha 110.11
_cell_angle_beta 87.30
_cell_angle_gamma 112.31
loop_
_atom_site_label
_atom_site_fract_x
_atom_site_fract_y
_atom_site_fract_z
_atom_site_occupancy
Zn1 0.773 0.256 0.811 1
Zn2 0.227 0.744 0.189 1
Cu1 0.500 0.500 0.500 1
As1 0.136 0.852 0.724 1
As2 0.864 0.148 0.276 1
O1 0.733 0.297 0.508 1
O2 0.267 0.703 0.492 1
O3 0.628 0.811 0.151 1
O4 0.372 0.189 0.849 1
O5 0.912 0.353 0.123 1
O6 0.818 0.870 0.666 1
O7 0.182 0.130 0.334 1
O8 0.088 0.647 0.877 1



11.
# Eu2ReO5, relaxed, DFT GGA-PBE
# Space group: P4/n, No. 85
data_Eu2ReO5
_chemical_formula_sum 'Eu8 Re4 O20'
_space_group_name_H-M_alt 'P 1'
_space_group_IT_number 1
_space_group_name_Hall 'P 1'
_cell_length_a 8.780
_cell_length_b 8.780
_cell_length_c 5.980
_cell_angle_alpha 90.00
_cell_angle_beta 90.00
_cell_angle_gamma 90.00
loop_
_atom_site_label
_atom_site_fract_x
_atom_site_fract_y
_atom_site_fract_z
_atom_site_occupancy
Eu1 0.853 0.140 0.248 1
Eu2 0.640 0.647 0.248 1
Eu3 0.360 0.353 0.248 1
Eu4 0.147 0.860 0.248 1
Eu5 0.353 0.640 0.752 1
Eu6 0.140 0.147 0.752 1
Eu7 0.860 0.853 0.752 1
Eu8 0.647 0.360 0.752 1
Re1 0.000 0.500 0.548 1
Re2 0.500 0.000 0.452 1
Re3 0.000 0.500 0.145 1
Re4 0.500 0.000 0.855 1
O1 0.000 0.000 0.500 1
O2 0.500 0.500 0.500 1
O3 0.000 0.000 0.000 1
O4 0.500 0.500 0.000 1
O5 0.307 0.911 0.908 1
O6 0.411 0.193 0.908 1
O7 0.589 0.807 0.908 1
O8 0.693 0.089 0.908 1
O9 0.193 0.589 0.092 1
O10 0.089 0.307 0.092 1
O11 0.911 0.693 0.092 1
O12 0.807 0.411 0.092 1
O13 0.807 0.588 0.607 1
O14 0.088 0.693 0.607 1
O15 0.912 0.307 0.607 1
O16 0.193 0.412 0.607 1
O17 0.693 0.912 0.393 1
O18 0.412 0.807 0.393 1
O19 0.588 0.193 0.393 1
O20 0.307 0.088 0.393 1



12.
# LuZr3F15, relaxed, DFT GGA-PBE
# Space group: C2/c, No. 15
data_LuZr3F15
_chemical_formula_sum 'Lu2 Zr6 F30'
_space_group_name_H-M_alt 'P 1'
_space_group_IT_number 1
_space_group_name_Hall 'P 1'
_cell_length_a 8.155
_cell_length_b 8.155
_cell_length_c 8.165
_cell_angle_alpha 79.81
_cell_angle_beta 79.81
_cell_angle_gamma 100.08
loop_
_atom_site_label
_atom_site_fract_x
_atom_site_fract_y
_atom_site_fract_z
_atom_site_occupancy
Lu1 0.678 0.322 0.750 1
Lu2 0.322 0.678 0.250 1
Zr1 0.250 0.750 0.750 1
Zr2 0.750 0.250 0.250 1
Zr3 0.822 0.748 0.325 1
Zr4 0.252 0.178 0.175 1
Zr5 0.178 0.252 0.675 1
Zr6 0.748 0.822 0.825 1
F1 0.151 0.186 0.948 1
F2 0.687 0.559 0.849 1
F3 0.043 0.653 0.315 1
F4 0.653 0.043 0.815 1
F5 0.559 0.687 0.349 1
F6 0.186 0.151 0.448 1
F7 0.849 0.814 0.052 1
F8 0.313 0.441 0.151 1
F9 0.957 0.347 0.685 1
F10 0.347 0.957 0.185 1
F11 0.441 0.313 0.651 1
F12 0.814 0.849 0.552 1
F13 0.966 0.034 0.750 1
F14 0.541 0.752 0.030 1
F15 0.248 0.459 0.470 1
F16 0.459 0.248 0.970 1
F17 0.752 0.541 0.530 1
F18 0.034 0.966 0.250 1
F19 0.220 0.727 0.005 1
F20 0.226 0.492 0.780 1
F21 0.991 0.722 0.774 1
F22 0.722 0.991 0.274 1
F23 0.492 0.226 0.280 1
F24 0.727 0.220 0.505 1
F25 0.780 0.273 0.995 1
F26 0.774 0.508 0.220 1
F27 0.009 0.278 0.226 1
F28 0.278 0.009 0.726 1
F29 0.508 0.774 0.720 1
F30 0.273 0.780 0.495 1



no.,electronic total energy (eV/atom),DFT formation energy (eV per atom)
1,-5.447,-0.0884
2,-5.562,-1.9053
3,-4.145,-2.3116
4,-6.967,-0.5448
5,-3.118,-0.3323
6,-8.893,-0.2669
7,-3.084,-0.2401
8,-6.198,-2.1313
9,-7.294,-3.2315
10,-5.480,-1.6322
11,-9.591,-2.8083
12,-6.852,-4.1175